Entry 1:
ZrU3: relaxed, PBE.

Calculated values
Formation energy (meV per atom): 376.3

Structure (extended XYZ):
```
4
Lattice="-2.1074 2.1074 4.8700 2.1074 -2.1074 4.8700 2.1074 2.1074 -4.8700" Properties=species:S:1:pos:R:3 pbc="T T T"
Zr 0.0000 0.0000 0.0000
U 2.1074 0.0000 2.4350
U 0.0000 2.1074 2.4350
U 0.0000 0.0000 4.8700
```


Entry 2:
SmCuSn: relaxed, PBE.

Calculated values
Formation energy (meV per atom): -599.0

Structure (extended XYZ):
```
6
Lattice="-2.2945 -3.9741 0.0000 -2.2945 3.9741 0.0000 0.0000 0.0000 -7.4733" Properties=species:S:1:pos:R:3 pbc="T T T"
Sm 0.0000 0.0000 -3.7813
Sm 0.0000 0.0000 -0.0446
Cu -2.2945 -1.3247 -5.1740
Cu -2.2945 1.3247 -1.4373
Sn -2.2945 1.3247 -5.7896
Sn -2.2945 -1.3247 -2.0529
```